[1]
A geometry-optimized LiVSiO4 structure, computed with PBE with a Hubbard U.

The structure in CIF format:
```
data_LiVSiO4
_chemical_formula_sum 'Li4 V4 Si4 O16'
_symmetry_space_group_name_H-M 'P 1 21/c 1'
_symmetry_Int_Tables_number 14
_cell_length_a 5.188
_cell_length_b 5.890
_cell_length_c 10.387
_cell_angle_alpha 90.00
_cell_angle_beta 113.84
_cell_angle_gamma 90.00
loop_
_symmetry_equiv_pos_as_xyz
'x,y,z'
'-x,-y,-z'
'-x,y+1/2,-z+1/2'
'x,-y+1/2,z+1/2'
loop_
_atom_site_label
_atom_site_type_symbol
_atom_site_fract_x
_atom_site_fract_y
_atom_site_fract_z
Li1 Li 0.085 0.133 0.434
V1 V 0.457 0.616 0.652
Si1 Si 0.103 0.651 0.362
O1 O 0.210 0.663 0.989
O2 O 0.241 0.135 0.223
O3 O 0.251 0.660 0.249
O4 O 0.252 0.081 0.952
```

Output
The value obtained for the size of the total moment is 8.00 μB/cell. For the corrected total energy (MP2020 scheme), the calculation gives -7.934 eV/atom. The energy above the lowest structure with this stoichiometry comes out at 0.078 eV per atom. The calculation puts the density at 3.4 g cm⁻³.

=====

[2]
A geometry-optimized PrEuMnNbO6 structure, computed with PBE with a Hubbard U.

The structure in CIF format:
```
data_PrEuMnNbO6
_chemical_formula_sum 'Pr4 Eu4 Mn4 Nb4 O24'
_symmetry_space_group_name_H-M 'F -4 3 m'
_symmetry_Int_Tables_number 216
_symmetry_space_group_name_Hall 'F -4 2 3'
_cell_length_a 8.161
_cell_length_b 8.161
_cell_length_c 8.161
_cell_angle_alpha 90.00
_cell_angle_beta 90.00
_cell_angle_gamma 90.00
loop_
_atom_site_label
_atom_site_type_symbol
_atom_site_fract_x
_atom_site_fract_y
_atom_site_fract_z
Pr1 Pr 0.000 0.000 0.000
Eu1 Eu 0.000 0.000 0.500
Mn1 Mn 0.250 0.250 0.250
Nb1 Nb 0.250 0.250 0.750
O1 O 0.006 0.250 0.750
```

Output
The value obtained for the size of the total moment is 48.00 μB/cell. For the corrected total energy (MP2020 scheme), the calculation gives -9.385 eV/atom. The calculation puts the density at 6.6 g cm⁻³.

=====

[3]
A geometry-optimized MnTe6O13 structure, computed with PBE with a Hubbard U.

The structure in CIF format:
```
data_MnTe6O13
_chemical_formula_sum 'Mn6 Te36 O78'
_symmetry_space_group_name_H-M 'R -3'
_symmetry_Int_Tables_number 148
_symmetry_space_group_name_Hall '-R 3'
_cell_length_a 10.4257
_cell_length_b 10.4257
_cell_length_c 19.6784
_cell_angle_alpha 90.00
_cell_angle_beta 90.00
_cell_angle_gamma 120.00
loop_
_atom_site_label
_atom_site_type_symbol
_atom_site_fract_x
_atom_site_fract_y
_atom_site_fract_z
Mn1 Mn 0.0000 0.0000 0.2441
Te1 Te 0.0589 0.2295 0.9080
Te2 Te 0.0849 0.2372 0.4035
O1 O 0.0000 0.0000 0.4109
O2 O 0.0003 0.2523 0.5532
O3 O 0.0485 0.1958 0.8134
O4 O 0.0531 0.1826 0.0702
O5 O 0.0880 0.8817 0.3078
```

Output
For the corrected total energy (MP2020 scheme), the calculation gives -6.181 eV/atom. The calculation puts the density at 5.5 g cm⁻³.

=====

[4]
A geometry-optimized KBaPrWO6 structure, computed with PBE with a Hubbard U.

The structure in CIF format:
```
data_KBaPrWO6
_chemical_formula_sum 'K4 Ba4 Pr4 W4 O24'
_symmetry_space_group_name_H-M 'P n n n'
_symmetry_Int_Tables_number 48
_cell_length_a 8.615
_cell_length_b 8.621
_cell_length_c 8.630
_cell_angle_alpha 90.00
_cell_angle_beta 90.00
_cell_angle_gamma 90.00
loop_
_symmetry_equiv_pos_as_xyz
'x,y,z'
'-x,-y,-z'
'-x+1/2,-y+1/2,z'
'x+1/2,y+1/2,-z'
'x,-y+1/2,-z+1/2'
'-x,y+1/2,z+1/2'
'-x+1/2,y,-z+1/2'
'x+1/2,-y,z+1/2'
loop_
_atom_site_label
_atom_site_type_symbol
_atom_site_fract_x
_atom_site_fract_y
_atom_site_fract_z
K1 K 0.250 0.250 0.250
K2 K 0.250 0.250 0.750
Ba1 Ba 0.250 0.750 0.250
Ba2 Ba 0.250 0.750 0.750
Pr1 Pr 0.000 0.000 0.000
W1 W 0.000 0.000 0.500
O1 O 0.013 0.225 0.478
O2 O 0.020 0.019 0.725
O3 O 0.226 0.527 0.018
```

Output
The value obtained for the size of the total moment is 0.00 μB/cell. For the corrected total energy (MP2020 scheme), the calculation gives -7.923 eV/atom. The calculation puts the density at 6.2 g cm⁻³.

=====

[5]
A geometry-optimized Eu2Mo3H2Se2O17 structure, computed with PBE with a Hubbard U.

The structure in CIF format:
```
data_Eu2Mo3H2Se2O17
_chemical_formula_sum 'Eu4 Mo6 H4 Se4 O34'
_symmetry_space_group_name_H-M 'P 1 21/m 1'
_symmetry_Int_Tables_number 11
_cell_length_a 7.041
_cell_length_b 7.400
_cell_length_c 14.725
_cell_angle_alpha 90.00
_cell_angle_beta 100.25
_cell_angle_gamma 90.00
loop_
_symmetry_equiv_pos_as_xyz
'x,y,z'
'-x,-y,-z'
'-x,y+1/2,-z'
'x,-y+1/2,z'
loop_
_atom_site_label
_atom_site_type_symbol
_atom_site_fract_x
_atom_site_fract_y
_atom_site_fract_z
Eu1 Eu 0.117 0.250 0.049
Eu2 Eu 0.250 0.750 0.383
Mo1 Mo 0.286 0.005 0.641
Mo2 Mo 0.371 0.750 0.830
H1 H 0.248 0.145 0.865
Se1 Se 0.261 0.250 0.313
Se2 Se 0.282 0.750 0.117
O1 O 0.050 0.072 0.650
O2 O 0.137 0.750 0.860
O3 O 0.157 0.575 0.055
O4 O 0.191 0.250 0.891
O5 O 0.214 0.750 0.221
O6 O 0.255 0.560 0.523
O7 O 0.269 0.750 0.678
O8 O 0.307 0.250 0.202
O9 O 0.380 0.506 0.787
O10 O 0.395 0.062 0.358
O11 O 0.395 0.250 0.635
O12 O 0.475 0.250 0.060
```

Output
The value obtained for the size of the total moment is 0.70 μB/cell. For the corrected total energy (MP2020 scheme), the calculation gives -7.482 eV/atom. The calculation puts the density at 4.5 g cm⁻³.

=====

[6]
A geometry-optimized Li3MnV3O8 structure, computed with PBE with a Hubbard U.

The structure in CIF format:
```
data_Li3MnV3O8
_chemical_formula_sum 'Li6 Mn2 V6 O16'
_symmetry_space_group_name_H-M 'C 1 m 1'
_symmetry_Int_Tables_number 8
_cell_length_a 12.515
_cell_length_b 4.078
_cell_length_c 6.618
_cell_angle_alpha 90.00
_cell_angle_beta 107.59
_cell_angle_gamma 90.00
loop_
_symmetry_equiv_pos_as_xyz
'x,y,z'
'x,-y,z'
'x+1/2,y+1/2,z'
'x+1/2,-y+1/2,z'
loop_
_atom_site_label
_atom_site_type_symbol
_atom_site_fract_x
_atom_site_fract_y
_atom_site_fract_z
Li1 Li 0.000 0.000 0.000
Li2 Li 0.116 0.000 0.638
Li3 Li 0.239 0.000 0.371
Mn1 Mn 0.463 0.000 0.700
V1 V 0.069 0.500 0.305
V2 V 0.281 0.500 0.713
V3 V 0.386 0.500 0.310
O1 O 0.038 0.500 0.027
O2 O 0.057 0.000 0.316
O3 O 0.118 0.500 0.629
O4 O 0.236 0.500 0.375
O5 O 0.282 0.000 0.682
O6 O 0.335 0.500 0.995
O7 O 0.408 0.000 0.332
O8 O 0.439 0.500 0.656
```

Output
The value obtained for the size of the total moment is 18.00 μB/cell. For the corrected total energy (MP2020 scheme), the calculation gives -7.801 eV/atom. The energy above the lowest structure with this stoichiometry comes out at 0.030 eV per atom. The calculation puts the density at 3.7 g cm⁻³.

=====

[7]
A geometry-optimized Ta2MnP6O21 structure, computed with PBE with a Hubbard U.

The structure in CIF format:
```
data_Ta2MnP6O21
_chemical_formula_sum 'Ta4 Mn2 P12 O42'
_symmetry_space_group_name_H-M 'P 1 21/c 1'
_symmetry_Int_Tables_number 14
_cell_length_a 6.667
_cell_length_b 8.070
_cell_length_c 16.954
_cell_angle_alpha 90.00
_cell_angle_beta 112.51
_cell_angle_gamma 90.00
loop_
_symmetry_equiv_pos_as_xyz
'x,y,z'
'-x,-y,-z'
'-x,y+1/2,-z+1/2'
'x,-y+1/2,z+1/2'
loop_
_atom_site_label
_atom_site_type_symbol
_atom_site_fract_x
_atom_site_fract_y
_atom_site_fract_z
Ta1 Ta 0.203 0.022 0.167
Mn1 Mn 0.500 0.000 0.500
P1 P 0.046 0.609 0.832
P2 P 0.292 0.111 0.982
P3 P 0.319 0.604 0.163
O1 O 0.097 0.554 0.173
O2 O 0.098 0.017 0.916
O3 O 0.115 0.243 0.194
O4 O 0.126 0.576 0.758
O5 O 0.223 0.635 0.916
O6 O 0.265 0.107 0.070
O7 O 0.292 0.706 0.648
O8 O 0.323 0.223 0.451
O9 O 0.353 0.507 0.095
O10 O 0.498 0.575 0.254
O11 O 0.500 0.000 0.000
```

Output
The value obtained for the size of the total moment is 10.00 μB/cell. For the corrected total energy (MP2020 scheme), the calculation gives -8.472 eV/atom. The calculation puts the density at 3.7 g cm⁻³.

=====

[8]
A geometry-optimized K2VP2O8 structure, computed with PBE with a Hubbard U.

The structure in CIF format:
```
data_K2VP2O8
_chemical_formula_sum 'K4 V2 P4 O16'
_symmetry_space_group_name_H-M 'P 4 b m'
_symmetry_Int_Tables_number 100
_cell_length_a 8.421
_cell_length_b 8.421
_cell_length_c 5.537
_cell_angle_alpha 90.00
_cell_angle_beta 90.00
_cell_angle_gamma 90.00
loop_
_symmetry_equiv_pos_as_xyz
'x,y,z'
'-y,x,z'
'-x,-y,z'
'y,-x,z'
'-x+1/2,y+1/2,z'
'y+1/2,x+1/2,z'
'x+1/2,-y+1/2,z'
'-y+1/2,-x+1/2,z'
loop_
_atom_site_label
_atom_site_type_symbol
_atom_site_fract_x
_atom_site_fract_y
_atom_site_fract_z
K1 K 0.172 0.328 0.000
V1 V 0.000 0.000 0.474
P1 P 0.128 0.628 0.486
O1 O 0.000 0.000 0.769
O2 O 0.000 0.500 0.377
O3 O 0.076 0.785 0.366
O4 O 0.127 0.627 0.757
```

Output
The value obtained for the size of the total moment is 2.00 μB/cell. For the corrected total energy (MP2020 scheme), the calculation gives -7.421 eV/atom. Its maximum piezoelectric response is 0.38 C/m². The calculation puts the density at 2.7 g cm⁻³.